(1)
DFT (r²SCAN) results for a relaxed La3Ga crystal.

The structure in extended XYZ format:
```
4
Lattice="4.931 0.000 0.000 0.000 4.931 0.000 0.000 0.000 4.931" Properties=species:S:1:pos:R:3 pbc="T T T"
La 0.000 0.000 2.465
La 0.000 2.465 0.000
La 2.465 0.000 0.000
Ga 2.465 2.465 2.465
```

E: -25.472 eV per atom
Space group: Pm-3m
Energy of formation: -0.3032 eV per atom

---

(2)
DFT (r²SCAN) results for a relaxed La2GaN3 crystal.

The structure in extended XYZ format:
```
24
Lattice="2.855 -5.467 0.000 2.855 5.467 0.000 -0.739 0.000 11.965" Properties=species:S:1:pos:R:3 pbc="T T T"
La 0.738 2.262 10.160
La 1.051 1.153 5.089
La 0.682 -1.153 11.072
La 1.107 -2.262 4.177
La 3.864 2.262 7.788
La 4.290 1.153 0.894
La 3.920 -1.153 6.876
La 4.234 -2.262 1.805
Ga 1.049 0.017 7.930
Ga 1.419 -0.017 1.947
Ga 3.553 0.017 10.018
Ga 3.922 -0.017 4.035
N 2.671 5.377 2.991
N 1.225 1.098 0.337
N 1.396 1.940 7.534
N 0.855 -1.098 6.320
N 2.671 1.083 2.991
N 3.205 1.940 10.414
N 1.766 -1.940 1.551
N 2.301 -1.083 8.974
N 4.116 1.098 5.645
N 3.575 -1.940 4.432
N 3.747 -1.098 11.628
N 2.301 -5.377 8.974
```

E: -17.693 eV per atom
Space group: C2/c
Energy of formation: -1.3061 eV per atom

---

> Which of these has the lowest energy of formation?

La2GaN3

---

> Which value of energy of formation does entry 1 give?

-0.3032 eV per atom

---

> E of number 2 (La2GaN3)?

-17.693 eV per atom